Computed, not measured: a relaxed Ba4Ga3Si20 crystal at the PBE level of DFT. Values from VASP.

```
&SYSTEM
  ibrav = 0, nat = 54, ntyp = 3
/
ATOMIC_SPECIES
Ba 137.33 Ba.upf
Ga 69.72 Ga.upf
Si 28.09 Si.upf
ATOMIC_POSITIONS crystal
Ba 0.0000 0.0000 0.0000
Ba 0.0000 0.2500 0.5000
Ba 0.0000 0.7500 0.5000
Ba 0.2500 0.5000 0.0000
Ba 0.5000 0.0000 0.2500
Ba 0.5000 0.0000 0.7500
Ba 0.5000 0.5000 0.5000
Ba 0.7500 0.5000 0.0000
Ga 0.0000 0.5000 0.2500
Ga 0.0000 0.5000 0.7500
Ga 0.2500 0.0000 0.5000
Ga 0.5000 0.2500 0.0000
Ga 0.5000 0.7500 0.0000
Ga 0.7500 0.0000 0.5000
Si 0.0000 0.3025 0.1184
Si 0.0000 0.3025 0.8816
Si 0.0000 0.6975 0.1184
Si 0.0000 0.6975 0.8816
Si 0.1184 0.0000 0.3025
Si 0.1184 0.0000 0.6975
Si 0.1851 0.1851 0.1851
Si 0.1851 0.1851 0.8149
Si 0.1851 0.8149 0.1851
Si 0.1851 0.8149 0.8149
Si 0.1975 0.5000 0.3816
Si 0.1975 0.5000 0.6184
Si 0.3025 0.1184 0.0000
Si 0.3025 0.8816 0.0000
Si 0.3149 0.3149 0.3149
Si 0.3149 0.3149 0.6851
Si 0.3149 0.6851 0.3149
Si 0.3149 0.6851 0.6851
Si 0.3816 0.1975 0.5000
Si 0.3816 0.8025 0.5000
Si 0.5000 0.3816 0.1975
Si 0.5000 0.3816 0.8025
Si 0.5000 0.6184 0.1975
Si 0.5000 0.6184 0.8025
Si 0.6184 0.1975 0.5000
Si 0.6184 0.8025 0.5000
Si 0.6851 0.3149 0.3149
Si 0.6851 0.3149 0.6851
Si 0.6851 0.6851 0.3149
Si 0.6851 0.6851 0.6851
Si 0.6975 0.1184 0.0000
Si 0.6975 0.8816 0.0000
Si 0.8025 0.5000 0.3816
Si 0.8025 0.5000 0.6184
Si 0.8149 0.1851 0.1851
Si 0.8149 0.1851 0.8149
Si 0.8149 0.8149 0.1851
Si 0.8149 0.8149 0.8149
Si 0.8816 0.0000 0.3025
Si 0.8816 0.0000 0.6975
CELL_PARAMETERS angstrom
10.4804 0.0000 0.0000
0.0000 10.4804 0.0000
0.0000 0.0000 10.4804
```

Computed properties:
Its crystal system is cubic. The value obtained for the calculated volume is 21.318 Å³ per atom. As for the space group: Pm-3n.

***

Computed, not measured: a relaxed La7ScAl8O24 crystal at the PBE level of DFT. Values from VASP.

```
&SYSTEM
  ibrav = 0, nat = 40, ntyp = 4
/
ATOMIC_SPECIES
La 138.91 La.upf
Sc 44.96 Sc.upf
Al 26.98 Al.upf
O 16.00 O.upf
ATOMIC_POSITIONS crystal
La 0.0000 0.0000 0.0000
La 0.0000 0.0000 0.5000
La 0.0000 0.5000 0.0000
La 0.0000 0.5000 0.5000
La 0.5000 0.0000 0.0000
La 0.5000 0.0000 0.5000
La 0.5000 0.5000 0.0000
Sc 0.5000 0.5000 0.5000
Al 0.2512 0.2512 0.2512
Al 0.2512 0.2512 0.7488
Al 0.2512 0.7488 0.2512
Al 0.2512 0.7488 0.7488
Al 0.7488 0.2512 0.2512
Al 0.7488 0.2512 0.7488
Al 0.7488 0.7488 0.2512
Al 0.7488 0.7488 0.7488
O 0.0000 0.2502 0.2502
O 0.0000 0.2502 0.7498
O 0.0000 0.7498 0.2502
O 0.0000 0.7498 0.7498
O 0.2502 0.0000 0.2502
O 0.2502 0.0000 0.7498
O 0.2502 0.2502 0.0000
O 0.2502 0.7498 0.0000
O 0.2524 0.2524 0.5000
O 0.2524 0.5000 0.2524
O 0.2524 0.5000 0.7476
O 0.2524 0.7476 0.5000
O 0.5000 0.2524 0.2524
O 0.5000 0.2524 0.7476
O 0.5000 0.7476 0.2524
O 0.5000 0.7476 0.7476
O 0.7476 0.2524 0.5000
O 0.7476 0.5000 0.2524
O 0.7476 0.5000 0.7476
O 0.7476 0.7476 0.5000
O 0.7498 0.0000 0.2502
O 0.7498 0.0000 0.7498
O 0.7498 0.2502 0.0000
O 0.7498 0.7498 0.0000
CELL_PARAMETERS angstrom
7.5708 0.0000 0.0000
0.0000 7.5708 0.0000
0.0000 0.0000 7.5708
```

Computed properties:
Its crystal system is cubic. The value obtained for the calculated volume is 10.848 Å³ per atom. As for the space group: Pm-3m.

***

Computed, not measured: a relaxed Ca2BiSbO6 crystal at the PBE level of DFT. Values from VASP.

```
&SYSTEM
  ibrav = 0, nat = 20, ntyp = 4
/
ATOMIC_SPECIES
Ca 40.08 Ca.upf
Bi 208.98 Bi.upf
Sb 121.76 Sb.upf
O 16.00 O.upf
ATOMIC_POSITIONS crystal
Ca 0.0000 0.5000 0.2500
Ca 0.0000 0.5000 0.7500
Ca 0.5000 0.0000 0.2500
Ca 0.5000 0.0000 0.7500
Bi 0.0000 0.0000 0.0000
Bi 0.5000 0.5000 0.5000
Sb 0.0000 0.0000 0.5000
Sb 0.5000 0.5000 0.0000
O 0.0000 0.0000 0.2654
O 0.0000 0.0000 0.7346
O 0.1414 0.3152 0.5000
O 0.1848 0.3586 0.0000
O 0.3152 0.8586 0.5000
O 0.3586 0.8152 0.0000
O 0.5000 0.5000 0.2346
O 0.5000 0.5000 0.7654
O 0.6414 0.1848 0.0000
O 0.6848 0.1414 0.5000
O 0.8152 0.6414 0.0000
O 0.8586 0.6848 0.5000
CELL_PARAMETERS angstrom
5.8387 0.0000 0.0000
0.0000 5.8387 0.0000
0.0000 0.0000 8.5183
```

Computed properties:
Its crystal system is tetragonal. The value obtained for the calculated volume is 14.519 Å³ per atom. As for the space group: P4/mnc.

***

Computed, not measured: a relaxed In3GaN4 crystal at the PBE level of DFT. Values from VASP.

```
&SYSTEM
  ibrav = 0, nat = 8, ntyp = 3
/
ATOMIC_SPECIES
In 114.82 In.upf
Ga 69.72 Ga.upf
N 14.01 N.upf
ATOMIC_POSITIONS crystal
In 0.0000 0.0000 0.0000
In 0.0000 0.0000 0.4821
In 0.6667 0.3333 0.7411
Ga 0.6667 0.3333 0.2383
N 0.0000 0.0000 0.2880
N 0.0000 0.0000 0.8079
N 0.6667 0.3333 0.0663
N 0.6667 0.3333 0.5497
CELL_PARAMETERS angstrom
3.4929 0.0000 0.0000
-1.7464 3.0249 0.0000
0.0000 0.0000 11.3549
```

Computed properties:
Its crystal system is trigonal. The value obtained for the calculated volume is 14.996 Å³ per atom. As for the space group: P3m1.

***

Computed, not measured: a relaxed YH3 crystal at the PBE level of DFT. Values from VASP.

```
&SYSTEM
  ibrav = 0, nat = 8, ntyp = 2
/
ATOMIC_SPECIES
Y 88.91 Y.upf
H 1.01 H.upf
ATOMIC_POSITIONS crystal
Y 0.3333 0.6667 0.2500
Y 0.6667 0.3333 0.7500
H 0.0000 0.0000 0.2500
H 0.0000 0.0000 0.7500
H 0.3333 0.6667 0.5940
H 0.3333 0.6667 0.9060
H 0.6667 0.3333 0.0940
H 0.6667 0.3333 0.4060
CELL_PARAMETERS angstrom
3.6784 0.0000 0.0000
-1.8392 3.1856 0.0000
0.0000 0.0000 6.6190
```

Computed properties:
Its crystal system is hexagonal. The value obtained for the calculated volume is 9.695 Å³ per atom. As for the space group: P6_3/mmc.

***

Computed, not measured: a relaxed Li3Cu4TeO8 crystal at the PBE level of DFT. Values from VASP.

```
&SYSTEM
  ibrav = 0, nat = 16, ntyp = 4
/
ATOMIC_SPECIES
Li 6.94 Li.upf
Cu 63.55 Cu.upf
Te 127.60 Te.upf
O 16.00 O.upf
ATOMIC_POSITIONS crystal
Li 0.0000 0.0000 0.0000
Li 0.0000 0.5000 0.5000
Li 0.5000 0.0000 0.5000
Cu 0.0000 0.0000 0.5000
Cu 0.0000 0.5000 0.0000
Cu 0.5000 0.0000 0.0000
Cu 0.5000 0.5000 0.0000
Te 0.5000 0.5000 0.5000
O 0.2511 0.2511 0.8084
O 0.2525 0.2525 0.2983
O 0.2789 0.7141 0.2837
O 0.2859 0.7211 0.7163
O 0.7141 0.2789 0.2837
O 0.7211 0.2859 0.7163
O 0.7475 0.7475 0.7017
O 0.7489 0.7489 0.1916
CELL_PARAMETERS angstrom
4.9682 -3.2396 0.0000
4.9682 3.2396 0.0000
-4.0509 0.0000 5.1840
```

Computed properties:
Its crystal system is monoclinic. The value obtained for the calculated volume is 10.429 Å³ per atom. As for the space group: C2/m.

***

Computed, not measured: a relaxed CeSi2Os2 crystal at the PBE level of DFT. Values from VASP.

```
&SYSTEM
  ibrav = 0, nat = 5, ntyp = 3
/
ATOMIC_SPECIES
Ce 140.12 Ce.upf
Si 28.09 Si.upf
Os 190.23 Os.upf
ATOMIC_POSITIONS crystal
Ce 0.0000 0.0000 0.0000
Si 0.3709 0.3709 0.0000
Si 0.6291 0.6291 0.0000
Os 0.2500 0.7500 0.5000
Os 0.7500 0.2500 0.5000
CELL_PARAMETERS angstrom
-2.0990 2.0990 4.8906
2.0990 -2.0990 4.8906
2.0990 2.0990 -4.8906
```

Computed properties:
Its crystal system is tetragonal. The value obtained for the calculated volume is 17.238 Å³ per atom. As for the space group: I4/mmm.

***

Computed, not measured: a relaxed Y2IrAu crystal at the PBE level of DFT. Values from VASP.

```
&SYSTEM
  ibrav = 0, nat = 4, ntyp = 3
/
ATOMIC_SPECIES
Y 88.91 Y.upf
Ir 192.22 Ir.upf
Au 196.97 Au.upf
ATOMIC_POSITIONS crystal
Y 0.2500 0.2500 0.2500
Y 0.7500 0.7500 0.7500
Ir 0.0000 0.0000 0.0000
Au 0.5000 0.5000 0.5000
CELL_PARAMETERS angstrom
0.0000 3.5238 3.5238
3.5238 0.0000 3.5238
3.5238 3.5238 0.0000
```

Computed properties:
Its crystal system is cubic. The value obtained for the calculated volume is 21.877 Å³ per atom. As for the space group: Fm-3m.

***

no.,DFT formation energy (meV per atom)
1,-134
2,-3653
3,-2382
4,-167
5,-722
6,-1380
7,-718
8,-824